DFT (PBE-GGA) results for a relaxed NaPH2O4 crystal.

Structure (CIF):
```
data_NaPH2O4
_chemical_formula_sum 'Na8 P8 H16 O32'
_symmetry_space_group_name_H-M 'P 1 21/c 1'
_symmetry_Int_Tables_number 14
_cell_length_a 6.238
_cell_length_b 12.522
_cell_length_c 9.790
_cell_angle_alpha 90.00
_cell_angle_beta 91.43
_cell_angle_gamma 90.00
loop_
_symmetry_equiv_pos_as_xyz
'x,y,z'
'-x,-y,-z'
'-x,y+1/2,-z+1/2'
'x,-y+1/2,z+1/2'
loop_
_atom_site_label
_atom_site_fract_x
_atom_site_fract_y
_atom_site_fract_z
_atom_site_occupancy
Na1 0.062 0.126 0.428 1
Na2 0.259 0.062 0.030 1
P1 0.399 0.003 0.688 1
P2 0.456 0.678 0.990 1
H1 0.008 0.579 0.712 1
H2 0.076 0.702 0.353 1
H3 0.134 0.651 0.609 1
H4 0.167 0.225 0.161 1
O1 0.052 0.183 0.203 1
O2 0.055 0.584 0.618 1
O3 0.179 0.020 0.625 1
O4 0.239 0.728 0.004 1
O5 0.348 0.247 0.523 1
O6 0.432 0.508 0.339 1
O7 0.436 0.596 0.862 1
O8 0.486 0.101 0.381 1
```

Properties
ΔE to the lowest computed polymorph   0.73 kcal/mol of atoms
Formation energy from the elements   -2.12 eV per atom
E (MP2020)   -402.03 eV per cell

=====

DFT (PBE-GGA) results for a relaxed SrIn2Pd crystal.

Structure (CIF):
```
data_SrIn2Pd
_chemical_formula_sum 'Sr4 In8 Pd4'
_symmetry_space_group_name_H-M 'C m c m'
_symmetry_Int_Tables_number 63
_symmetry_space_group_name_Hall '-C 2c 2'
_cell_length_a 4.607
_cell_length_b 10.970
_cell_length_c 8.018
_cell_angle_alpha 90.00
_cell_angle_beta 90.00
_cell_angle_gamma 90.00
loop_
_atom_site_label
_atom_site_fract_x
_atom_site_fract_y
_atom_site_fract_z
_atom_site_occupancy
Sr1 0.000 0.061 0.250 1
In1 0.000 0.348 0.054 1
Pd1 0.000 0.220 0.750 1
```

Properties
Formation energy from the elements   -0.60 eV per atom

=====

DFT (PBE-GGA) results for a relaxed Ho6MnGe2S14 crystal.

Structure (CIF):
```
data_Ho6MnGe2S14
_chemical_formula_sum 'Ho6 Mn1 Ge2 S14'
_symmetry_space_group_name_H-M 'P 3'
_symmetry_Int_Tables_number 143
_cell_length_a 9.7890
_cell_length_b 9.7890
_cell_length_c 5.8035
_cell_angle_alpha 90.00
_cell_angle_beta 90.00
_cell_angle_gamma 120.00
loop_
_symmetry_equiv_pos_as_xyz
'x,y,z'
'-y,x-y,z'
'-x+y,-x,z'
loop_
_atom_site_label
_atom_site_fract_x
_atom_site_fract_y
_atom_site_fract_z
_atom_site_occupancy
Ho1 0.0240 0.4692 0.0000 1
Ho2 0.3078 0.1967 0.5015 1
Mn1 0.6667 0.3333 0.2887 1
Ge1 0.0000 0.0000 0.9241 1
Ge2 0.3333 0.6667 0.4217 1
S1 0.0000 0.0000 0.3038 1
S2 0.0896 0.2378 0.7615 1
S3 0.1856 0.7567 0.2589 1
S4 0.3333 0.6667 0.8021 1
S5 0.4161 0.2346 0.0560 1
S6 0.5131 0.0823 0.5400 1
```

Properties
Formation energy from the elements   -1.79 eV per atom
E (MP2020)   -145.00 eV per cell

=====

DFT (PBE-GGA) results for a relaxed SiAgH16C7S3O3F3 crystal.

Structure (CIF):
```
data_SiAgH16C7S3O3F3
_chemical_formula_sum 'Si8 Ag8 H128 C56 S24 O24 F24'
_symmetry_space_group_name_H-M 'C 1 2/c 1'
_symmetry_Int_Tables_number 15
_cell_length_a 28.302
_cell_length_b 8.564
_cell_length_c 18.036
_cell_angle_alpha 90.00
_cell_angle_beta 122.66
_cell_angle_gamma 90.00
loop_
_symmetry_equiv_pos_as_xyz
'x,y,z'
'-x,-y,-z'
'-x,y,-z+1/2'
'x,-y,z+1/2'
'x+1/2,y+1/2,z'
'-x+1/2,-y+1/2,-z'
'-x+1/2,y+1/2,-z+1/2'
'x+1/2,-y+1/2,z+1/2'
loop_
_atom_site_label
_atom_site_fract_x
_atom_site_fract_y
_atom_site_fract_z
_atom_site_occupancy
Si1 0.161 0.125 0.293 1
Ag1 0.000 0.044 0.250 1
Ag2 0.000 0.404 0.250 1
H1 0.006 0.186 0.490 1
H2 0.026 0.487 0.078 1
H3 0.032 0.280 0.428 1
H4 0.057 0.089 0.475 1
H5 0.057 0.357 0.656 1
H6 0.098 0.233 0.142 1
H7 0.100 0.473 0.631 1
H8 0.130 0.071 0.396 1
H9 0.134 0.157 0.767 1
H10 0.158 0.265 0.411 1
H11 0.165 0.098 0.706 1
H12 0.203 0.101 0.453 1
H13 0.208 0.131 0.822 1
H14 0.212 0.370 0.302 1
H15 0.223 0.221 0.243 1
H16 0.241 0.287 0.640 1
C1 0.021 0.169 0.445 1
C2 0.064 0.474 0.638 1
C3 0.091 0.210 0.197 1
C4 0.162 0.323 0.994 1
C5 0.163 0.143 0.398 1
C6 0.167 0.085 0.769 1
C7 0.219 0.244 0.299 1
S1 0.034 0.071 0.152 1
S2 0.081 0.401 0.231 1
S3 0.084 0.295 0.924 1
O1 0.063 0.456 0.903 1
O2 0.071 0.213 0.982 1
O3 0.075 0.205 0.848 1
F1 0.176 0.412 0.066 1
F2 0.182 0.395 0.949 1
F3 0.189 0.184 0.024 1
```

Properties
Formation energy from the elements   -0.56 eV per atom
E (MP2020)   -1434.13 eV per cell

=====

DFT (PBE-GGA) results for a relaxed U8NiS17 crystal.

Structure (CIF):
```
data_U8NiS17
_chemical_formula_sum 'U16 Ni2 S34'
_symmetry_space_group_name_H-M 'C 1 2/m 1'
_symmetry_Int_Tables_number 12
_cell_length_a 13.170
_cell_length_b 8.241
_cell_length_c 10.247
_cell_angle_alpha 90.00
_cell_angle_beta 101.84
_cell_angle_gamma 90.00
loop_
_symmetry_equiv_pos_as_xyz
'x,y,z'
'-x,-y,-z'
'-x,y,-z'
'x,-y,z'
'x+1/2,y+1/2,z'
'-x+1/2,-y+1/2,-z'
'-x+1/2,y+1/2,-z'
'x+1/2,-y+1/2,z'
loop_
_atom_site_label
_atom_site_fract_x
_atom_site_fract_y
_atom_site_fract_z
_atom_site_occupancy
U1 0.059 0.241 0.204 1
U2 0.183 0.500 0.516 1
U3 0.202 0.000 0.954 1
Ni1 0.000 0.000 0.500 1
S1 0.000 0.000 0.000 1
S2 0.022 0.500 0.669 1
S3 0.056 0.000 0.723 1
S4 0.127 0.307 0.966 1
S5 0.135 0.190 0.471 1
S6 0.199 0.500 0.256 1
S7 0.212 0.000 0.221 1
```

Properties
Formation energy from the elements   -1.67 eV per atom
E (MP2020)   -419.56 eV per cell